[1]
Compound: ScPb3
Source: Materials Project
Functional: PBE
Structure: optimized geometry

a = 4.535 Å, b = 4.535 Å, c = 11.049 Å
α = 90.00°, β = 90.00°, γ = 90.00°
Space group I4/mmm (No. 139)
Symmetry-distinct sites (fractional):
Sc  0.000  0.000  0.000 x2
Pb  0.000  0.000  0.500 x2
Pb  0.000  0.500  0.250 x4

final energy = -4.47 eV/atom



[2]
Compound: AlCrN2
Source: Materials Project
Functional: PBE
Structure: optimized geometry

a = 5.140 Å, b = 10.680 Å, c = 13.233 Å
α = 90.00°, β = 90.00°, γ = 90.00°
Space group Pbca (No. 61)
Symmetry-distinct sites (fractional):
Al  0.137  0.036  0.185 x8
Al  0.185  0.711  0.563 x8
Cr  0.172  0.542  0.941 x8
Cr  0.191  0.713  0.801 x8
N  0.165  0.211  0.178 x8
N  0.187  0.208  0.946 x8
N  0.201  0.042  0.571 x8
N  0.211  0.024  0.807 x8

MP2020-corrected energy = -8.341 eV per atom
final energy = -8.16 eV/atom



| no. | energy of formation from the pure elements (kJ/mol of formula units) | spin magnetization (μB/cell) |
| --- | --- | --- |
| 1 | -38 | 0.01 |
| 2 | -318 | 39.83 |